24
Lattice="0.1003 3.1494 1.8054 -3.5343 -2.3459 4.2887 9.4393 -3.6238 5.7968" Properties=species:S:1:pos:R:3 comment="meta-GGA r2SCAN TbB4Mo, optimized geometry" volume_a3_per_atom=10.6 space_group="Pbam (55)" total_energy_ev_per_atom=-15.12 pbc="T T T"
Tb 1.0906 -2.7407 4.7204
Tb 4.8144 -3.2289 5.3651
Tb 0.9634 -0.8405 1.4127
Tb 4.9416 -5.1292 8.6728
B -0.9725 -0.9417 5.3492
B 6.9778 -1.8786 6.5416
B 2.0062 -0.2339 3.9489
B 3.9990 -2.5864 7.9420
B -2.7084 -0.5725 4.8015
B 8.7137 -2.2478 7.0893
B 3.1749 -0.9797 5.1850
B 2.8304 -1.8406 6.7059
B 1.1914 -2.1454 7.3288
B 4.8138 -0.6749 4.5621
B -0.8697 0.4972 2.8334
B 6.8750 -3.3175 9.0575
B -0.5014 -1.8274 6.8680
B 6.5067 -0.9929 5.0229
B 0.1897 -0.2413 4.0628
B 5.8156 -2.5790 7.8281
Mo -1.4385 -1.7753 3.1768
Mo 7.3435 -4.1944 6.9087
Mo 3.4820 -1.8129 2.9689
Mo 2.4230 -4.1568 7.1165

5
Lattice="3.6640 0.0000 -1.2894 -0.4537 3.6358 -1.2894 0.0281 0.0318 5.9304" Properties=species:S:1:pos:R:3 comment="meta-GGA r2SCAN TbMn2Si2, optimized geometry" volume_a3_per_atom=15.9 space_group="I4/mmm (139)" total_energy_ev_per_atom=-16.30 pbc="T T T"
Tb 0.0000 0.0000 0.0000
Mn 0.5897 2.7427 1.6758
Mn 2.6486 0.9249 1.6758
Si 1.9889 2.2525 -0.1988
Si 1.2494 1.4150 3.5504

16
Lattice="3.8405 0.0000 0.0000 -1.9203 6.7100 0.0000 0.0000 0.0000 11.5230" Properties=species:S:1:pos:R:3 comment="meta-GGA r2SCAN Ca3C3Cl2, optimized geometry" volume_a3_per_atom=18.6 space_group="Cmcm (63)" total_energy_ev_per_atom=-9.12 pbc="T T T"
Ca 0.0000 4.6162 6.4660
Ca 1.9203 2.0938 5.0570
Ca 1.9203 2.0938 0.7045
Ca 0.0000 4.6162 10.8185
Ca 1.9203 5.0861 2.8808
Ca 0.0000 1.6239 8.6423
C 1.9203 3.1232 7.3212
C 0.0000 3.5868 4.2018
C 0.0000 3.5868 1.5597
C 1.9203 3.1232 9.9633
C 0.0000 3.4533 2.8808
C 1.9203 3.2567 8.6423
Cl 0.0000 6.3167 8.6423
Cl 1.9203 0.3933 2.8808
Cl 0.0000 0.0000 0.0000
Cl 0.0000 0.0000 5.7615

10
Lattice="-3.9049 -7.2132 -14.6176 -6.9488 -8.7919 -12.4647 -7.3509 -5.1374 -14.1606" Properties=species:S:1:pos:R:3 comment="meta-GGA r2SCAN Tm5TeSe4, optimized geometry" volume_a3_per_atom=23.6 space_group="R-3m (166)" total_energy_ev_per_atom=-27.62 pbc="T T T"
Tm -12.8561 -14.9308 -29.1257
Tm -1.8449 -2.1427 -4.1797
Tm -9.1023 -10.5712 -20.6214
Tm -5.3485 -6.2117 -12.1171
Tm -16.3596 -18.9998 -37.0631
Te 0.0000 0.0000 0.0000
Se -10.8603 -12.6129 -24.6042
Se -3.6212 -4.2056 -8.2040
Se -14.5833 -16.9368 -33.0388
Se -7.3443 -8.5295 -16.6386

10
Lattice="7.6837 0.0000 0.0000 0.0000 7.6837 0.0000 0.0000 0.0000 3.8696" Properties=species:S:1:pos:R:3 comment="meta-GGA r2SCAN Pu2InPd2, optimized geometry" volume_a3_per_atom=22.8 space_group="P4/mbm (127)" total_energy_ev_per_atom=-48.95 pbc="T T T"
Pu 2.4843 6.3261 1.9348
Pu 6.3261 5.1994 1.9348
Pu 1.3576 2.4843 1.9348
Pu 5.1994 1.3576 1.9348
In 0.0000 0.0000 0.0000
In 3.8418 3.8418 0.0000
Pd 2.8648 0.9771 0.0000
Pd 6.7066 2.8648 0.0000
Pd 0.9771 4.8189 0.0000
Pd 4.8189 6.7066 0.0000

34
Lattice="5.5643 0.0110 -0.0043 -2.2745 6.7554 0.0083 -1.7707 -0.5916 9.5550" Properties=species:S:1:pos:R:3 comment="meta-GGA r2SCAN Ti6O11, optimized geometry" volume_a3_per_atom=10.6 space_group="P-1 (2)" relative_energy_mev_per_atom=0 total_energy_ev_per_atom=-11.71 pbc="T T T"
Ti -0.3197 4.2818 0.8208
Ti 1.8388 1.8930 8.7382
Ti 0.7976 0.8791 0.7862
Ti 0.7215 5.2956 8.7728
Ti 2.4099 2.7574 2.4461
Ti -0.8908 3.4173 7.1130
Ti 1.2793 6.1181 2.4826
Ti 0.2398 0.0567 7.0765
Ti -1.3227 4.4512 4.1916
Ti 2.8418 1.7235 5.3674
Ti -0.2276 1.0601 4.1200
Ti 1.7467 5.1147 5.4390
O -0.3168 2.4120 0.2511
O 1.8359 3.7627 9.3080
O 2.4955 1.9902 0.7239
O -0.9764 4.1846 8.8351
O 2.4440 6.5908 1.0587
O -0.9250 -0.4160 8.5003
O -0.3622 6.1345 1.4661
O 1.8813 0.0402 8.0929
O 1.3157 4.2144 1.9456
O 0.2034 1.9604 7.6135
O -1.4554 3.7226 2.4627
O 2.9745 2.4522 7.0964
O 0.8090 1.6143 2.7043
O 0.7101 4.5605 6.8548
O 3.4391 1.1820 3.4019
O -1.9200 4.9927 6.1572
O 1.2305 0.8313 5.4036
O -2.6687 5.8676 3.7518
O 0.2886 5.3435 4.1555
O 2.3275 3.3986 4.4584
O -0.8084 2.7762 5.1006
O 4.1877 0.3071 5.8073

6
Lattice="5.4863 0.0000 0.0000 -2.7431 4.7513 0.0000 0.0000 0.0000 4.1986" Properties=species:S:1:pos:R:3 comment="meta-GGA r2SCAN SrZn5, optimized geometry" volume_a3_per_atom=18.2 space_group="P6/mmm (191)" total_energy_ev_per_atom=-10.17 pbc="T T T"
Sr 0.0000 0.0000 0.0000
Zn 2.7431 1.5838 0.0000
Zn 2.7431 0.0000 2.0993
Zn 1.3716 2.3756 2.0993
Zn -1.3716 2.3756 2.0993
Zn 0.0000 3.1675 0.0000

14
Lattice="6.0013 0.0000 3.4648 2.0004 5.6581 3.4648 0.0000 0.0000 6.9297" Properties=species:S:1:pos:R:3 comment="meta-GGA r2SCAN CuRh2S4, optimized geometry" volume_a3_per_atom=16.8 space_group="Fd-3m (227)" total_energy_ev_per_atom=-13.60 pbc="T T T"
Cu 7.0015 4.9508 12.1270
Cu 1.0002 0.7073 1.7324
Rh 4.0009 2.8290 3.4648
Rh 4.0009 2.8290 6.9297
Rh 1.0002 2.8290 5.1973
Rh 3.0006 0.0000 5.1973
S 5.9309 4.1938 10.2726
S 2.0708 1.4643 6.8077
S 3.0006 4.0942 5.1973
S 4.8602 1.4643 5.1973
S 5.0011 1.5639 8.6621
S 3.1415 4.1938 8.6621
S 2.0708 1.4643 3.5868
S 5.9309 4.1938 7.0516

32
Lattice="-2.3180 6.9517 -3.0446 -8.1876 -2.3564 0.8534 -0.2315 5.0186 11.6353" Properties=species:S:1:pos:R:3 comment="meta-GGA r2SCAN K2TbCl5, optimized geometry" volume_a3_per_atom=26.9 space_group="Pnma (62)" total_energy_ev_per_atom=-11.68 pbc="T T T"
K -2.4197 10.7285 6.7548
K -8.3174 -1.1146 2.6894
K -9.3460 4.1322 7.3081
K -4.2897 0.0446 2.2696
K -1.3911 5.4817 2.1361
K -6.4474 9.5693 7.1746
K -5.4188 4.3225 2.5559
K -5.3183 5.2914 6.8883
Tb -8.4014 7.1956 3.6980
Tb -2.3357 2.4183 5.7462
Tb -3.2622 7.3589 10.4990
Tb -7.4750 2.2550 -1.0549
Cl -6.5809 2.4790 8.1410
Cl -4.1563 7.1349 1.3031
Cl -3.6801 7.8690 7.8983
Cl -7.0571 1.7449 1.5459
Cl -2.4259 8.6001 4.1775
Cl -8.3112 1.0138 5.2667
Cl -8.8292 4.7294 10.5560
Cl -4.9238 1.9887 4.9136
Cl -1.9079 4.8845 -1.1118
Cl -5.8133 7.6252 4.5306
Cl -5.2953 3.9096 -0.7588
Cl -5.4418 5.7043 10.2029
Cl -7.6099 4.8452 4.8022
Cl -3.1272 4.7687 4.6419
Cl -2.4681 4.9542 11.4773
Cl -8.2690 4.6597 -2.0332
Cl -7.8556 6.8317 7.9298
Cl -2.8815 2.7822 1.5144
Cl -2.5800 4.0401 7.8801
Cl -8.1571 5.5738 1.5640

12
Lattice="-2.8396 1.6908 1.9719 -2.4742 -2.6497 -1.2916 4.7284 -5.3436 7.6366" Properties=species:S:1:pos:R:3 comment="meta-GGA r2SCAN Sr3V2O7, optimized geometry" volume_a3_per_atom=12.5 space_group="I4/mmm (139)" total_energy_ev_per_atom=-12.65 pbc="T T T"
Sr -1.8942 -2.6230 3.2766
Sr 1.3086 -3.6794 5.0402
Sr -2.6569 -0.4795 0.3402
V -0.9816 -5.1896 6.7923
V 0.3961 -1.1130 1.5246
O 0.2575 -3.8707 7.4464
O 0.4403 -6.0411 5.8145
O -0.8430 -2.4319 0.8706
O -1.0257 -0.2615 2.5024
O -1.3822 -4.0630 5.2490
O 0.0000 -0.0001 0.0001
O 0.7966 -2.2395 3.0677

4
Lattice="4.8411 1.2424 0.7383 1.4375 2.0684 4.3795 2.8233 -2.6548 3.2413" Properties=species:S:1:pos:R:3 comment="meta-GGA r2SCAN Pm2AgOs, optimized geometry" volume_a3_per_atom=22.8 space_group="Fm-3m (225)" total_energy_ev_per_atom=-33.55 pbc="T T T"
Pm 2.2755 0.1640 2.0898
Pm 6.8264 0.4920 6.2694
Ag 4.5509 0.3280 4.1796
Os 0.0000 0.0000 0.0000

10
Lattice="4.6457 -2.6692 -1.8601 2.6068 -3.7959 3.3110 -0.2254 -5.5181 -1.2912" Properties=species:S:1:pos:R:3 comment="meta-GGA r2SCAN Sr2LuVO6, optimized geometry" volume_a3_per_atom=12.9 space_group="Fm-3m (225)" total_energy_ev_per_atom=-15.07 pbc="T T T"
Sr 1.7568 -2.9958 0.0399
Sr 5.2703 -8.9874 0.1197
Lu 0.0000 0.0000 0.0000
V 3.5135 -5.9916 0.0798
O 4.0433 -4.4371 -0.8279
O 2.9838 -7.5461 0.9875
O 3.0893 -4.9643 1.5917
O 3.9378 -7.0189 -1.4320
O 1.7641 -5.7700 -0.5617
O 5.2630 -6.2132 0.7213